An optimized crystal structure of BaNaCeNbO6. Source: Materials Project, functional PBE.

Results
ΔH_f (0 K) (eV per atom): -3.190
E above lowest polymorph (meV per atom): 0
Size of the total moment (μB per formula unit): 0.00

Cell: 8.4754 8.5093 8.5222 Å, 90.00 90.00 90.00°
Last column: nearest neighbours and their distance in Å.
Positions (direct):
Ba: 0.2500 0.2500 0.2500  8 O 2.79-3.01
Ba: 0.2500 0.2500 0.7500  12 O 2.96-3.01
Ba: 0.7500 0.7500 0.2500  12 O 2.96-3.01
Ba: 0.7500 0.7500 0.7500  8 O 2.79-3.01
Na: 0.2500 0.7500 0.2500  8 O 2.83-3.06
Na: 0.2500 0.7500 0.7500  8 O 2.79-3.06
Na: 0.7500 0.2500 0.2500  8 O 2.79-3.06
Na: 0.7500 0.2500 0.7500  8 O 2.83-3.06
Ce: 0.0000 0.0000 0.0000  6 O 2.24-2.26
Ce: 0.0000 0.5000 0.5000  6 O 2.24-2.26
Ce: 0.5000 0.0000 0.5000  6 O 2.24-2.26
Ce: 0.5000 0.5000 0.0000  6 O 2.24-2.26
Nb: 0.0000 0.0000 0.5000  6 O 2.02-2.03
Nb: 0.0000 0.5000 0.0000  6 O 2.02-2.03
Nb: 0.5000 0.0000 0.0000  6 O 2.02-2.03
Nb: 0.5000 0.5000 0.5000  6 O 2.02-2.03
O: 0.0107 0.7368 0.0186  1 Nb 2.02, 1 Ce 2.25
O: 0.0107 0.7632 0.4814  1 Nb 2.02, 1 Ce 2.25
O: 0.0178 0.5176 0.7636  1 Nb 2.03, 1 Ce 2.26
O: 0.0178 0.9824 0.7364  1 Nb 2.03, 1 Ce 2.26
O: 0.2370 0.0216 0.4850  1 Nb 2.02, 1 Ce 2.24
O: 0.2370 0.4784 0.0150  1 Nb 2.02, 1 Ce 2.24
O: 0.2630 0.0216 0.0150  1 Nb 2.02, 1 Ce 2.24
O: 0.2630 0.4784 0.4850  1 Nb 2.02, 1 Ce 2.24
O: 0.4822 0.5176 0.7364  1 Nb 2.03, 1 Ce 2.26
O: 0.4822 0.9824 0.7636  1 Nb 2.03, 1 Ce 2.26
O: 0.4893 0.7368 0.4814  1 Nb 2.02, 1 Ce 2.25
O: 0.4893 0.7632 0.0186  1 Nb 2.02, 1 Ce 2.25
O: 0.5107 0.2368 0.9814  1 Nb 2.02, 1 Ce 2.25
O: 0.5107 0.2632 0.5186  1 Nb 2.02, 1 Ce 2.25
O: 0.5178 0.0176 0.2364  1 Nb 2.03, 1 Ce 2.26
O: 0.5178 0.4824 0.2636  1 Nb 2.03, 1 Ce 2.26
O: 0.7370 0.5216 0.5150  1 Nb 2.02, 1 Ce 2.24
O: 0.7370 0.9784 0.9850  1 Nb 2.02, 1 Ce 2.24
O: 0.7630 0.5216 0.9850  1 Nb 2.02, 1 Ce 2.24
O: 0.7630 0.9784 0.5150  1 Nb 2.02, 1 Ce 2.24
O: 0.9822 0.0176 0.2636  1 Nb 2.03, 1 Ce 2.26
O: 0.9822 0.4824 0.2364  1 Nb 2.03, 1 Ce 2.26
O: 0.9893 0.2368 0.5186  1 Nb 2.02, 1 Ce 2.25
O: 0.9893 0.2632 0.9814  1 Nb 2.02, 1 Ce 2.25

An optimized crystal structure of La3BC2Br2. Source: Materials Project, functional PBE.

Results
ΔH_f (0 K) (eV per atom): -1.145
Size of the total moment (μB per formula unit): 0.00

Cell: 15.4812 3.9971 11.5386 Å, 90.00 90.00 90.00°
Last column: nearest neighbours and their distance in Å.
Positions (direct):
La: 0.1381 0.2500 0.1224  2 B 2.69, 4 C 2.81-2.85
La: 0.1604 0.7500 0.4467  3 C 2.50-2.67
La: 0.1696 0.7500 0.8007  3 C 2.48-2.66
La: 0.3304 0.2500 0.3007  3 C 2.48-2.66
La: 0.3396 0.2500 0.9467  3 C 2.50-2.67
La: 0.3619 0.7500 0.6224  2 B 2.69, 4 C 2.81-2.85
La: 0.6381 0.2500 0.3776  2 B 2.69, 4 C 2.81-2.85
La: 0.6604 0.7500 0.0533  3 C 2.50-2.67
La: 0.6696 0.7500 0.6993  3 C 2.48-2.66
La: 0.8304 0.2500 0.1993  3 C 2.48-2.66
La: 0.8396 0.2500 0.5533  3 C 2.50-2.67
La: 0.8619 0.7500 0.8776  2 B 2.69, 4 C 2.81-2.85
B: 0.2456 0.2500 0.6246  2 C 1.49-1.50
B: 0.2544 0.7500 0.1246  2 C 1.49-1.50
B: 0.7456 0.2500 0.8754  2 C 1.49-1.50
B: 0.7544 0.7500 0.3754  2 C 1.49-1.50
C: 0.2243 0.7500 0.2478  1 B 1.50
C: 0.2317 0.7500 0.9991  1 B 1.49
C: 0.2683 0.2500 0.4991  1 B 1.49
C: 0.2757 0.2500 0.7478  1 B 1.50
C: 0.7243 0.7500 0.2522  1 B 1.50
C: 0.7317 0.7500 0.5009  1 B 1.49
C: 0.7683 0.2500 0.0009  1 B 1.49
C: 0.7757 0.2500 0.7522  1 B 1.50
Br: 0.0113 0.2500 0.3654  5 La 3.19-3.43, 2 Br 3.57
Br: 0.0282 0.2500 0.8850  5 La 3.12-3.26, 2 Br 3.44
Br: 0.4718 0.7500 0.3850  5 La 3.12-3.26, 2 Br 3.44
Br: 0.4887 0.7500 0.8654  5 La 3.19-3.43, 2 Br 3.57
Br: 0.5113 0.2500 0.1346  5 La 3.19-3.43, 2 Br 3.57
Br: 0.5282 0.2500 0.6150  5 La 3.12-3.26, 2 Br 3.44
Br: 0.9718 0.7500 0.1150  5 La 3.12-3.26, 2 Br 3.44
Br: 0.9887 0.7500 0.6346  5 La 3.19-3.43, 2 Br 3.57

An optimized crystal structure of CaCd2P2. Source: Materials Project, functional PBE.

Results
ΔH_f (0 K) (eV per atom): -0.563

Cell: 4.3212 4.3212 7.0723 Å, 90.00 90.00 120.00°
Last column: nearest neighbours and their distance in Å.
Positions (direct):
Ca: 0.0000 0.0000 0.0000  6 P 3.01
Cd: 0.3333 0.6667 0.3613  4 P 2.64-2.83
Cd: 0.6667 0.3333 0.6387  4 P 2.64-2.83
P: 0.3333 0.6667 0.7609  4 Cd 2.64-2.83
P: 0.6667 0.3333 0.2391  4 Cd 2.64-2.83

An optimized crystal structure of GaGe. Source: Materials Project, functional PBE.

Results
ΔH_f (0 K) (eV per atom): 0.163
Size of the total moment (μB per formula unit): 0.00

Cell: 4.0982 4.0982 4.0982 Å, 60.00 60.00 60.00°
Last column: nearest neighbours and their distance in Å.
Positions (direct):
Ga: 0.0000 0.0000 0.0000  4 Ge 2.51
Ge: 0.2500 0.2500 0.2500  4 Ga 2.51